Below is crystalline Tm4Ni13C4 at its relaxed geometry, with properties calculated at the PBE-GGA level.

a b c (Å): 11.6326 11.9299 3.8250
angles (deg): 90.00 90.00 90.00
Last column: nearest neighbours and their distance in Å.
Space group Cmmm (No. 65)
Symmetry-distinct sites (fractional):
Tm: 0.0000 0.1864 0.0000 x4  8 Ni 2.65-2.93
Tm: 0.1515 0.5000 0.0000 x4  5 Ni 2.61-2.89, 4 C 2.69
Ni: 0.0000 0.0000 0.5000 x2  8 Ni 2.40-2.49
Ni: 0.1070 0.3231 0.5000 x8  2 C 1.88-1.90
Ni: 0.1241 0.0000 0.0000 x4  6 Ni 2.40-2.41, 3 Tm 2.61-2.65
Ni: 0.1832 0.1080 0.5000 x8  1 C 1.86
Ni: 0.2500 0.2500 0.0000 x4  2 C 1.91
C: 0.0000 0.4432 0.5000 x4  1 C 1.36
C: 0.2500 0.2500 0.5000 x4  6 Ni 1.86-1.91

Final energy in hartree per atom: -0.2407


Below is crystalline TmNiC2 at its relaxed geometry, with properties calculated at the PBE-GGA level.

a b c (Å): 3.5056 4.5020 5.9629
angles (deg): 90.00 90.00 90.00
Last column: nearest neighbours and their distance in Å.
Space group Amm2 (No. 38)
Symmetry-distinct sites (fractional):
Tm: 0.0000 0.0000 0.0000 x2  8 C 2.59-2.64
Ni: 0.5000 0.0000 0.3889 x2  4 C 1.92-1.98
C: 0.5000 0.1528 0.7006 x4  1 C 1.38

Final energy in hartree per atom: -0.2766


Below is crystalline Tm11Ni60C6 at its relaxed geometry, with properties calculated at the PBE-GGA level.

a b c (Å): 12.3924 12.3924 12.3924
angles (deg): 90.00 90.00 90.00
Last column: nearest neighbours and their distance in Å.
Space group Im-3m (No. 229)
Symmetry-distinct sites (fractional):
Tm: 0.0000 0.0000 0.5000 x6  2 C 2.58
Tm: 0.1688 0.1688 0.1688 x16  15 Ni 2.81-2.98
Ni: 0.0000 0.0000 0.1435 x12  1 C 1.84
Ni: 0.0000 0.1481 0.3188 x48  1 C 1.87
Ni: 0.0000 0.2500 0.5000 x12  12 Ni 2.58-2.62
Ni: 0.0930 0.3259 0.3259 x48  7 Ni 2.31-2.49
C: 0.0000 0.0000 0.2921 x12  5 Ni 1.84-1.87

Final energy in hartree per atom: -0.2261


Below is crystalline U2NiC3 at its relaxed geometry, with properties calculated at the PBE-GGA level.

a b c (Å): 6.3844 3.5503 13.1479
angles (deg): 90.00 90.00 90.00
Last column: nearest neighbours and their distance in Å.
Space group Pnma (No. 62)
Symmetry-distinct sites (fractional):
U: 0.1261 0.2500 0.2095 x4  3 C 2.33-2.49
U: 0.2481 0.7500 0.9773 x4  6 C 2.34-2.50
Ni: 0.0082 0.2500 0.6518 x4  3 C 2.05-2.12
C: 0.0214 0.2500 0.9021 x4  1 C 1.46
C: 0.1049 0.7500 0.5900 x4  2 Ni 2.05
C: 0.1803 0.2500 0.8227 x4  1 C 1.46

Final energy in hartree per atom: -0.3490


Below is crystalline Ni2W4C at its relaxed geometry, with properties calculated at the PBE-GGA level.

a b c (Å): 11.3207 11.3207 11.3207
angles (deg): 90.00 90.00 90.00
Last column: nearest neighbours and their distance in Å.
Space group Fd-3m (No. 227, origin choice 2)
Symmetry-distinct sites (fractional):
Ni: 0.0415 0.0415 0.2085 x32  6 W 2.45-2.68, 3 Ni 2.67
W: 0.0000 0.0000 0.0000 x16  6 Ni 2.45
W: 0.0661 0.3750 0.8750 x48  2 C 2.14
C: 0.0000 0.0000 0.5000 x16  6 W 2.14

Final energy in hartree per atom: -0.3844


Below is crystalline YNiC2 at its relaxed geometry, with properties calculated at the PBE-GGA level.

a b c (Å): 3.6027 4.5186 6.0218
angles (deg): 90.00 90.00 90.00
Last column: nearest neighbours and their distance in Å.
Space group Amm2 (No. 38)
Symmetry-distinct sites (fractional):
Y: 0.0000 0.0000 0.0000 x2  8 C 2.65-2.67, 2 Ni 2.95
Ni: 0.5000 0.0000 0.6128 x2  4 C 1.94-2.00
C: 0.5000 0.1515 0.3016 x4  1 C 1.37

Final energy in hartree per atom: -0.2941